# 1
UV3O10: optimized geometry, GGA+U.

abc: 10.217 8.905 7.051
angles: 78.69 58.72 42.59
Element x y z (fractional)
O 0.098 0.908 0.694
O 0.860 0.860 0.640
O 0.694 0.299 0.098
O 0.291 0.709 0.291
V 0.250 0.250 0.250
O 0.121 0.121 0.879
O 0.541 0.959 0.541
V 0.474 0.474 0.026
O 0.640 0.640 0.860
O 0.152 0.342 0.556
O 0.908 0.098 0.299
O 0.371 0.371 0.129
U 0.750 0.750 0.750
O 0.556 0.951 0.152
U 0.500 0.500 0.500
O 0.951 0.556 0.342
V 0.026 0.026 0.474
O 0.879 0.879 0.121
V 0.000 0.000 0.000
O 0.959 0.541 0.959
V 0.224 0.224 0.776
O 0.299 0.694 0.908
O 0.610 0.610 0.390
O 0.709 0.291 0.709
O 0.129 0.129 0.371
V 0.776 0.776 0.224
O 0.342 0.152 0.951
O 0.390 0.390 0.610

Values from the calculation:
- space-group type = Fddd (70)
- uncorrected energy (eV per cell) = -227.76

***

# 2
Li5Cr2Ni5O12: optimized geometry, GGA+U.

abc: 5.116 5.116 9.771
angles: 84.65 84.65 121.29
Element x y z (fractional)
O 0.760 0.951 0.885
Li 0.329 0.170 0.248
O 0.479 0.294 0.883
O 0.887 0.386 0.616
Ni 0.492 0.997 0.753
O 0.976 0.788 0.380
O 0.049 0.240 0.115
O 0.405 0.887 0.116
Ni 0.918 0.082 0.500
O 0.287 0.477 0.381
Li 0.081 0.919 0.000
Li 0.171 0.328 0.753
O 0.523 0.713 0.619
O 0.212 0.024 0.620
Ni 0.416 0.584 0.000
Ni 0.003 0.508 0.247
O 0.614 0.113 0.384
Cr 0.743 0.257 0.000
O 0.706 0.521 0.117
Cr 0.251 0.749 0.500
Ni 0.581 0.419 0.500
Li 0.672 0.829 0.247
O 0.113 0.595 0.884
Li 0.830 0.671 0.752

Values from the calculation:
- space-group type = C2 (5)
- uncorrected energy (eV per cell) = -134.15

***

# 3
LiV6O11F: optimized geometry, GGA+U.

abc: 4.683 4.715 9.009
angles: 89.89 89.81 91.75
Element x y z (fractional)
V 0.998 0.000 0.335
O 0.687 0.698 0.329
V 0.530 0.470 0.163
F 0.806 0.199 0.839
V 0.466 0.538 0.837
O 0.202 0.797 0.157
O 0.299 0.312 0.670
V 0.505 0.491 0.492
O 0.803 0.200 0.162
O 0.306 0.304 0.999
Li 0.997 0.500 0.595
O 0.789 0.215 0.502
V 0.005 0.997 0.667
O 0.694 0.695 0.669
V 0.023 0.979 0.018
O 0.302 0.310 0.330
O 0.194 0.797 0.504
O 0.197 0.802 0.840
O 0.697 0.698 0.999

Values from the calculation:
- space-group type = P1 (1)
- uncorrected energy (eV per cell) = -141.42